Here is a relaxed structure of Ca2Nb2SnO8 from the Materials Project database. Energies are from PBE.

ρ: 4.4 Mg/m³
VASP energy: -402.6 eV/cell
ΔH_f (0 K): -68.027 kcal/mol of atoms
Total energy after the MP2020 corrections: -8.166 eV per atom

CIF file:
```
data_Ca2Nb2SnO8
_cell_length_a 20.227
_cell_length_b 6.884
_cell_length_c 5.513
_cell_angle_alpha 90.00
_cell_angle_beta 92.02
_cell_angle_gamma 90.00
_symmetry_space_group_name_H-M 'C 1 2/c 1'
_symmetry_Int_Tables_number 15
_symmetry_space_group_name_Hall '-C 2yc'
loop_
_atom_site_label
_atom_site_fract_x
_atom_site_fract_y
_atom_site_fract_z
Ca1 0.216 0.150 0.244
Nb1 0.124 0.353 0.751
Sn1 0.000 0.199 0.250
O1 0.071 0.179 0.901
O2 0.077 0.402 0.423
O3 0.189 0.167 0.639
O4 0.191 0.422 0.018
```

---

Here is a relaxed structure of TiS2 from the Materials Project database. Energies are from PBE.

ρ: 3.9 Mg/m³
VASP energy: -76.5 eV/cell
ΔH_f (0 K): -30.547 kcal/mol of atoms
Total energy after the MP2020 corrections: -6.714 eV per atom

CIF file:
```
data_TiS2
_cell_length_a 6.628
_cell_length_b 3.604
_cell_length_c 7.962
_cell_angle_alpha 90.00
_cell_angle_beta 90.00
_cell_angle_gamma 90.00
_symmetry_space_group_name_H-M 'P n m a'
_symmetry_Int_Tables_number 62
_symmetry_space_group_name_Hall '-P 2ac 2n'
loop_
_atom_site_label
_atom_site_fract_x
_atom_site_fract_y
_atom_site_fract_z
Ti1 0.245 0.250 0.114
S1 0.024 0.750 0.350
S2 0.135 0.750 0.917
```

---

Here is a relaxed structure of Na2PHO3 from the Materials Project database. Energies are from PBE.

ρ: 2.4 Mg/m³
VASP energy: -156.7 eV/cell
ΔH_f (0 K): -49.260 kcal/mol of atoms
Total energy after the MP2020 corrections: -5.893 eV per atom

CIF file:
```
data_Na2PHO3
_cell_length_a 5.141
_cell_length_b 7.076
_cell_length_c 10.856
_cell_angle_alpha 90.00
_cell_angle_beta 115.82
_cell_angle_gamma 90.00
_symmetry_space_group_name_H-M 'P 1 21/c 1'
_symmetry_Int_Tables_number 14
_symmetry_space_group_name_Hall '-P 2ybc'
loop_
_atom_site_label
_atom_site_fract_x
_atom_site_fract_y
_atom_site_fract_z
Na1 0.031 0.061 0.254
Na2 0.381 0.192 0.604
P1 0.257 0.740 0.573
H1 0.412 0.570 0.586
O1 0.007 0.193 0.901
O2 0.172 0.691 0.926
O3 0.467 0.625 0.185
```

---

Here is a relaxed structure of NdSF from the Materials Project database. Energies are from PBE.

ρ: 5.9 Mg/m³
VASP energy: -39.6 eV/cell
ΔH_f (0 K): -76.403 kcal/mol of atoms
Total energy after the MP2020 corrections: -6.920 eV per atom

CIF file:
```
data_NdSF
_cell_length_a 3.953
_cell_length_b 3.953
_cell_length_c 6.993
_cell_angle_alpha 90.00
_cell_angle_beta 90.00
_cell_angle_gamma 90.00
_symmetry_space_group_name_H-M 'P 4/n m m'
_symmetry_Int_Tables_number 129
loop_
_symmetry_equiv_pos_as_xyz
'x,y,z'
'-x,-y,-z'
'-y+1/2,x,z'
'y+1/2,-x,-z'
'-x+1/2,-y+1/2,z'
'x+1/2,y+1/2,-z'
'y,-x+1/2,z'
'-y,x+1/2,-z'
'x+1/2,-y,-z'
'-x+1/2,y,z'
'-y,-x,-z'
'y,x,z'
'-x,y+1/2,-z'
'x,-y+1/2,z'
'y+1/2,x+1/2,-z'
'-y+1/2,-x+1/2,z'
loop_
_atom_site_label
_atom_site_fract_x
_atom_site_fract_y
_atom_site_fract_z
Nd1 0.250 0.250 0.230
S1 0.250 0.250 0.647
F1 0.250 0.750 0.000
```

---

Here is a relaxed structure of Kr from the Materials Project database. Energies are from PBE.

ρ: 2.0 Mg/m³
VASP energy: -0.2 eV/cell
ΔH_f (0 K): 0.000 kcal/mol of atoms

CIF file:
```
data_Kr
_cell_length_a 6.496
_cell_length_b 6.496
_cell_length_c 6.496
_cell_angle_alpha 90.00
_cell_angle_beta 90.00
_cell_angle_gamma 90.00
_symmetry_space_group_name_H-M 'F m -3 m'
_symmetry_Int_Tables_number 225
_symmetry_space_group_name_Hall '-F 4 2 3'
loop_
_atom_site_label
_atom_site_fract_x
_atom_site_fract_y
_atom_site_fract_z
Kr1 0.000 0.000 0.000
```

---

Here is a relaxed structure of BaGa2H2 from the Materials Project database. Energies are from PBE.

ρ: 5.2 Mg/m³
VASP energy: -16.9 eV/cell
ΔH_f (0 K): -11.600 kcal/mol of atoms
Total energy after the MP2020 corrections: -3.455 eV per atom

CIF file:
```
data_BaGa2H2
_cell_length_a 4.5705
_cell_length_b 4.5705
_cell_length_c 4.9192
_cell_angle_alpha 90.00
_cell_angle_beta 90.00
_cell_angle_gamma 120.00
_symmetry_space_group_name_H-M 'P -3 m 1'
_symmetry_Int_Tables_number 164
_symmetry_space_group_name_Hall '-P 3 2"'
loop_
_atom_site_label
_atom_site_fract_x
_atom_site_fract_y
_atom_site_fract_z
Ba1 0.0000 0.0000 0.0000
Ga1 0.3333 0.6667 0.5316
H1 0.3333 0.6667 0.8755
```

---

Here is a relaxed structure of UVS3 from the Materials Project database. Energies are from PBE.

ρ: 6.7 Mg/m³
VASP energy: -155.5 eV/cell
ΔH_f (0 K): -35.028 kcal/mol of atoms
Total energy after the MP2020 corrections: -8.076 eV per atom

CIF file:
```
data_UVS3
_cell_length_a 6.983
_cell_length_b 8.968
_cell_length_c 6.086
_cell_angle_alpha 90.00
_cell_angle_beta 90.00
_cell_angle_gamma 90.00
_symmetry_space_group_name_H-M 'P n m a'
_symmetry_Int_Tables_number 62
_symmetry_space_group_name_Hall '-P 2ac 2n'
loop_
_atom_site_label
_atom_site_fract_x
_atom_site_fract_y
_atom_site_fract_z
U1 0.114 0.250 0.055
V1 0.000 0.000 0.500
S1 0.044 0.750 0.354
S2 0.185 0.561 0.836
```

---

Here is a relaxed structure of Ca3FeN3 from the Materials Project database. Energies are from PBE.

ρ: 3.2 Mg/m³
VASP energy: -89.8 eV/cell
ΔH_f (0 K): -21.402 kcal/mol of atoms
Total energy after the MP2020 corrections: -6.570 eV per atom

CIF file:
```
data_Ca3FeN3
_cell_length_a 7.2197
_cell_length_b 7.2197
_cell_length_c 4.9797
_cell_angle_alpha 90.00
_cell_angle_beta 90.00
_cell_angle_gamma 120.00
_symmetry_space_group_name_H-M 'P 63/m'
_symmetry_Int_Tables_number 176
_symmetry_space_group_name_Hall '-P 6c'
loop_
_atom_site_label
_atom_site_fract_x
_atom_site_fract_y
_atom_site_fract_z
Ca1 0.0849 0.3597 0.2500
Fe1 0.3333 0.6667 0.7500
N1 0.1046 0.4100 0.7500
```

---

Here is a relaxed structure of MnBe3 from the Materials Project database. Energies are from PBE.

ρ: 3.9 Mg/m³
VASP energy: -21.1 eV/cell
ΔH_f (0 K): -4.125 kcal/mol of atoms

CIF file:
```
data_MnBe3
_cell_length_a 3.260
_cell_length_b 3.260
_cell_length_c 3.260
_cell_angle_alpha 90.00
_cell_angle_beta 90.00
_cell_angle_gamma 90.00
_symmetry_space_group_name_H-M 'P m -3 m'
_symmetry_Int_Tables_number 221
_symmetry_space_group_name_Hall '-P 4 2 3'
loop_
_atom_site_label
_atom_site_fract_x
_atom_site_fract_y
_atom_site_fract_z
Mn1 0.000 0.000 0.000
Be1 0.000 0.500 0.500
```

---

Here is a relaxed structure of Ac3Zr from the Materials Project database. Energies are from PBE.

ρ: 8.5 Mg/m³
VASP energy: -19.8 eV/cell
ΔH_f (0 K): 6.169 kcal/mol of atoms

CIF file:
```
data_Ac3Zr
_cell_length_a 5.320
_cell_length_b 5.320
_cell_length_c 5.320
_cell_angle_alpha 90.00
_cell_angle_beta 90.00
_cell_angle_gamma 90.00
_symmetry_space_group_name_H-M 'P m -3 m'
_symmetry_Int_Tables_number 221
_symmetry_space_group_name_Hall '-P 4 2 3'
loop_
_atom_site_label
_atom_site_fract_x
_atom_site_fract_y
_atom_site_fract_z
Ac1 0.000 0.000 0.500
Zr1 0.500 0.500 0.500
```

---

Here is a relaxed structure of Si from the Materials Project database. Energies are from PBE.

ρ: 2.8 Mg/m³
VASP energy: -29.8 eV/cell
ΔH_f (0 K): 10.464 kcal/mol of atoms

CIF file:
```
data_Si
_cell_length_a 5.0924
_cell_length_b 5.0924
_cell_length_c 4.4191
_cell_angle_alpha 90.00
_cell_angle_beta 90.00
_cell_angle_gamma 120.00
_symmetry_space_group_name_H-M 'P 63/m m c'
_symmetry_Int_Tables_number 194
_symmetry_space_group_name_Hall '-P 6c 2c'
loop_
_atom_site_label
_atom_site_fract_x
_atom_site_fract_y
_atom_site_fract_z
Si1 0.1650 0.3300 0.2500
```

---

Here is a relaxed structure of KErO3 from the Materials Project database. Energies are from PBE.

ρ: 4.9 Mg/m³
VASP energy: -30.1 eV/cell
ΔH_f (0 K): -53.722 kcal/mol of atoms
Total energy after the MP2020 corrections: -6.434 eV per atom

CIF file:
```
data_KErO3
_cell_length_a 4.427
_cell_length_b 4.427
_cell_length_c 4.427
_cell_angle_alpha 90.00
_cell_angle_beta 90.00
_cell_angle_gamma 90.00
_symmetry_space_group_name_H-M 'P m -3 m'
_symmetry_Int_Tables_number 221
_symmetry_space_group_name_Hall '-P 4 2 3'
loop_
_atom_site_label
_atom_site_fract_x
_atom_site_fract_y
_atom_site_fract_z
K1 0.000 0.000 0.000
Er1 0.500 0.500 0.500
O1 0.000 0.500 0.500
```

---

Here is a relaxed structure of ErCO4 from the Materials Project database. Energies are from PBE.

ρ: 5.4 Mg/m³
VASP energy: -183.1 eV/cell
ΔH_f (0 K): -57.360 kcal/mol of atoms
Total energy after the MP2020 corrections: -8.085 eV per atom

CIF file:
```
data_ErCO4
_cell_length_a 4.828
_cell_length_b 7.044
_cell_length_c 8.772
_cell_angle_alpha 90.00
_cell_angle_beta 90.00
_cell_angle_gamma 90.00
_symmetry_space_group_name_H-M 'P 21 21 21'
_symmetry_Int_Tables_number 19
_symmetry_space_group_name_Hall 'P 2ac 2ab'
loop_
_atom_site_label
_atom_site_fract_x
_atom_site_fract_y
_atom_site_fract_z
Er1 0.027 0.126 0.161
C1 0.008 0.046 0.828
O1 0.031 0.813 0.143
O2 0.044 0.447 0.791
O3 0.181 0.616 0.584
O4 0.233 0.926 0.366
```

---

Here is a relaxed structure of CsGa9Au5 from the Materials Project database. Energies are from PBE.

ρ: 8.8 Mg/m³
VASP energy: -96.9 eV/cell
ΔH_f (0 K): -6.034 kcal/mol of atoms

CIF file:
```
data_CsGa9Au5
_cell_length_a 7.8284
_cell_length_b 7.8284
_cell_length_c 12.4185
_cell_angle_alpha 90.00
_cell_angle_beta 90.00
_cell_angle_gamma 120.00
_symmetry_space_group_name_H-M 'P 63/m m c'
_symmetry_Int_Tables_number 194
_symmetry_space_group_name_Hall '-P 6c 2c'
loop_
_atom_site_label
_atom_site_fract_x
_atom_site_fract_y
_atom_site_fract_z
Cs1 0.0000 0.0000 0.0000
Ga1 0.0772 0.5386 0.0978
Ga2 0.1942 0.3884 0.7500
Au1 0.1903 0.3806 0.2500
Au2 0.3333 0.6667 0.5833
```